DFT (PBE-GGA) results for Ba3WN4 after structural relaxation.

```
64
Lattice="10.5626 0.0000 0.0000 0.0000 10.9831 0.0000 0.0000 0.0000 12.4222" Properties=species:S:1:pos:R:3 pbc="T T T"
Ba 9.2967 10.6409 1.7279
Ba 4.0154 0.3422 4.4832
Ba 6.5473 5.1494 10.6943
Ba 1.2660 5.8337 7.9390
Ba 1.2660 0.3422 10.6943
Ba 6.5473 10.6409 7.9390
Ba 4.0154 5.8337 1.7279
Ba 9.2967 5.1494 4.4832
Ba 7.4686 3.0516 1.5125
Ba 2.1873 7.9315 4.6986
Ba 8.3753 8.5431 10.9097
Ba 3.0940 2.4399 7.7236
Ba 3.0940 7.9315 10.9097
Ba 8.3753 3.0516 7.7236
Ba 2.1873 2.4399 1.5125
Ba 7.4686 8.5431 4.6986
Ba 5.6355 9.6113 1.3222
Ba 0.3542 6.8633 1.3222
Ba 10.2084 9.6113 7.5333
Ba 4.9271 1.3718 11.1000
Ba 4.9271 6.8633 7.5333
Ba 10.2084 4.1198 11.1000
Ba 0.3542 1.3718 4.8889
Ba 5.6355 4.1198 4.8889
W 7.4180 6.5337 1.4270
W 2.1367 4.4494 4.7841
W 8.4260 1.0421 10.9951
W 3.1447 9.9409 7.6381
W 3.1447 4.4494 10.9951
W 8.4260 6.5337 7.6381
W 2.1367 9.9409 1.4270
W 7.4180 1.0421 4.7841
N 8.3821 2.4766 3.9869
N 3.1008 8.5064 2.2242
N 7.4619 7.9682 8.4353
N 2.1806 3.0149 10.1980
N 2.1806 8.5064 8.4353
N 7.4619 2.4766 10.1980
N 3.1008 3.0149 3.9869
N 8.3821 7.9682 2.2242
N 8.5971 5.4131 0.4610
N 3.3158 5.5699 5.7501
N 7.2468 10.9047 11.9612
N 1.9655 0.0784 6.6721
N 1.9655 5.5699 11.9612
N 7.2468 5.4131 6.6721
N 3.3158 0.0784 0.4610
N 6.5866 10.9184 3.5070
N 6.0926 1.6743 5.9850
N 0.8112 9.3087 0.2261
N 9.7514 7.1659 6.4372
N 4.4701 3.8172 12.1960
N 4.4701 9.3087 6.4372
N 9.7514 1.6743 12.1960
N 0.8112 3.8172 5.9850
N 6.0926 7.1659 0.2261
N 6.5866 5.4269 2.7041
N 1.3053 5.5562 3.5070
N 9.2574 10.9184 9.7180
N 3.9761 0.0646 8.9152
N 3.9761 5.5562 9.7180
N 9.2574 5.4269 8.9152
N 1.3053 0.0646 2.7041
N 8.5971 10.9047 5.7501
```

Results
polymorph energy (0 for the lowest one): 0 meV/atom
corrected total energy (MP2020 scheme): -486.0 eV for the cell shown
formation enthalpy at 0 K: -1.085 eV/atom